Entry 1:
DFT (GGA-PBE) results for a relaxed LaSi2Ir2 crystal.

Geometry as POSCAR:
```
LaSi2Ir2
1.0
4.2128 0.0000 0.0000
0.0000 4.2128 0.0000
0.0000 0.0000 10.0617
La Si Ir
2 4 4
Direct
0.5000 0.0000 0.2572
0.0000 0.5000 0.7428
0.0000 0.5000 0.1278
0.5000 0.0000 0.8722
0.0000 0.0000 0.5000
0.5000 0.5000 0.5000
0.0000 0.5000 0.3730
0.5000 0.0000 0.6270
0.0000 0.0000 0.0000
0.5000 0.5000 0.0000
```

Summary:
The calculation puts the formation energy at -1.0416 eV/atom. Its space-group type is P4/nmm (129).

=====

Entry 2:
DFT (GGA-PBE) results for a relaxed La2Si3Ir3 crystal.

Geometry as POSCAR:
```
La2Si3Ir3
1.0
-1.9501 -5.7741 -1.1094
5.3511 -1.2585 -2.8558
7.6682 -5.8455 16.9447
La Si Ir
2 3 3
Direct
0.5000 0.5000 0.7681
0.5000 0.5000 0.2319
0.5000 0.5000 0.3837
0.5000 0.5000 0.6163
0.5000 0.5000 0.0000
0.5000 0.5000 0.1179
0.5000 0.5000 0.8821
0.5000 0.5000 0.5000
```

Summary:
Its magnetization is 1.00 μB/cell. The calculation puts the formation energy at 1.8906 eV/atom. Its space-group type is P4/mmm (123).

=====

Entry 3:
DFT (GGA-PBE) results for a relaxed LaSi2Ir2 crystal.

Geometry as POSCAR:
```
LaSi2Ir2
1.0
-2.3205 0.3389 5.4701
-5.8493 -0.6432 0.8913
4.4537 -2.7370 -2.8452
La Si Ir
1 2 2
Direct
0.0000 0.0000 0.0000
0.6271 0.6271 0.0000
0.3729 0.3729 0.0000
0.2500 0.7500 0.5000
0.7500 0.2500 0.5000
```

Summary:
The calculation puts the formation energy at -1.0555 eV/atom. Its space-group type is I4/mmm (139).

=====

Entry 4:
DFT (GGA-PBE) results for a relaxed LaSiIr crystal.

Geometry as POSCAR:
```
LaSiIr
1.0
-2.3164 5.7692 1.6493
-4.1714 -0.2775 -4.8879
-4.3131 -2.8300 3.8415
La Si Ir
4 4 4
Direct
0.1348 0.8652 0.3652
0.8652 0.3652 0.1348
0.6348 0.6348 0.6348
0.3652 0.1348 0.8652
0.6596 0.8404 0.1596
0.1596 0.6596 0.8404
0.8404 0.1596 0.6596
0.3404 0.3404 0.3404
0.0734 0.4266 0.5734
0.5734 0.0734 0.4266
0.9266 0.9266 0.9266
0.4266 0.5734 0.0734
```

Summary:
The calculation puts the formation energy at -0.9994 eV/atom. Its space-group type is P2_13 (198).

=====

Entry 5:
DFT (GGA-PBE) results for a relaxed LaSnIr crystal.

Geometry as POSCAR:
```
LaSnIr
1.0
-6.5985 2.7017 -2.5062
0.1079 -5.5389 5.1409
0.0007 2.8879 3.1114
La Sn Ir
3 3 3
Direct
0.5873 0.0000 0.0000
0.0000 0.5873 0.0000
0.4127 0.4127 0.0000
0.2483 0.0000 0.5000
0.0000 0.2483 0.5000
0.7517 0.7517 0.5000
0.3333 0.6667 0.5000
0.6667 0.3333 0.5000
0.0000 0.0000 0.0000
```

Summary:
The calculation puts the formation energy at -0.8283 eV/atom. Its space-group type is P-62m (189).

=====

Entry 6:
DFT (GGA-PBE) results for a relaxed La3Sn13Ir4 crystal.

Geometry as POSCAR:
```
La3Sn13Ir4
1.0
-6.4231 7.2698 -1.8876
-3.7310 -5.2438 -7.5001
-6.5187 -4.1619 6.1526
La Sn Ir
6 26 8
Direct
0.5000 0.0000 0.7500
0.0000 0.2500 0.5000
0.7500 0.5000 0.0000
0.5000 0.0000 0.2500
0.0000 0.7500 0.5000
0.2500 0.5000 0.0000
0.5000 0.5000 0.5000
0.0000 0.0000 0.0000
0.6526 0.1951 0.5000
0.8049 0.5000 0.6526
0.5000 0.3474 0.8049
0.3474 0.8049 0.5000
0.1951 0.5000 0.3474
0.5000 0.6526 0.1951
0.6526 0.8049 0.5000
0.8049 0.5000 0.3474
0.3474 0.1951 0.5000
0.1951 0.5000 0.6526
0.5000 0.6526 0.8049
0.5000 0.3474 0.1951
0.1526 0.0000 0.6951
0.3049 0.1526 0.0000
0.0000 0.3049 0.8474
0.8474 0.0000 0.3049
0.6951 0.8474 0.0000
0.0000 0.6951 0.1526
0.1526 0.0000 0.3049
0.3049 0.8474 0.0000
0.8474 0.0000 0.6951
0.6951 0.1526 0.0000
0.0000 0.3049 0.1526
0.0000 0.6951 0.8474
0.7500 0.2500 0.7500
0.2500 0.7500 0.2500
0.7500 0.7500 0.2500
0.2500 0.2500 0.7500
0.2500 0.7500 0.7500
0.7500 0.2500 0.2500
0.2500 0.2500 0.2500
0.7500 0.7500 0.7500
```

Summary:
The calculation puts the formation energy at -0.5488 eV/atom. Its space-group type is Pm-3n (223).

=====

Entry 7:
DFT (GGA-PBE) results for a relaxed La5Sn10Ir4 crystal.

Geometry as POSCAR:
```
La5Sn10Ir4
1.0
-0.8793 12.2014 7.3329
-5.0325 -7.1389 11.2751
4.4238 -0.6287 1.5765
La Sn Ir
10 20 8
Direct
0.5000 0.5000 0.0000
0.0000 0.0000 0.0000
0.6764 0.1764 0.5000
0.3236 0.8236 0.5000
0.1764 0.3236 0.5000
0.8236 0.6764 0.5000
0.8876 0.3876 0.5000
0.1124 0.6124 0.5000
0.3876 0.1124 0.5000
0.6124 0.8876 0.5000
0.5693 0.0693 0.0000
0.4307 0.9307 0.0000
0.0693 0.4307 0.0000
0.9307 0.5693 0.0000
0.6546 0.6980 0.0000
0.3454 0.3020 0.0000
0.1546 0.8020 0.0000
0.8454 0.1980 0.0000
0.3020 0.6546 0.0000
0.6980 0.3454 0.0000
0.1980 0.1546 0.0000
0.8020 0.8454 0.0000
0.6638 0.5050 0.5000
0.3362 0.4950 0.5000
0.1638 0.9950 0.5000
0.8362 0.0050 0.5000
0.4950 0.6638 0.5000
0.5050 0.3362 0.5000
0.0050 0.1638 0.5000
0.9950 0.8362 0.5000
0.7463 0.5277 0.0000
0.2537 0.4723 0.0000
0.2463 0.9723 0.0000
0.7537 0.0277 0.0000
0.4723 0.7463 0.0000
0.5277 0.2537 0.0000
0.0277 0.2463 0.0000
0.9723 0.7537 0.0000
```

Summary:
Its magnetization is 0.00 μB/cell. The calculation puts the formation energy at -0.7046 eV/atom. Its space-group type is P4/mbm (127).

=====

Entry 8:
DFT (GGA-PBE) results for a relaxed LiIr3 crystal.

Geometry as POSCAR:
```
LiIr3
1.0
-2.2259 -4.4500 -1.3832
-3.1032 -2.2215 3.4794
1.0620 3.9575 -3.1434
Li Ir
1 3
Direct
0.4828 0.5000 0.9828
0.0479 0.7404 0.3075
0.5671 0.2596 0.3075
0.9983 0.0000 0.9983
```

Summary:
The calculation puts the formation energy at -0.2040 eV/atom. Its space-group type is Imm2 (44).

=====

Entry 9:
DFT (GGA-PBE) results for a relaxed LiIr crystal.

Geometry as POSCAR:
```
LiIr
1.0
0.0044 2.4790 -0.9978
0.8187 -0.4328 2.5067
4.1180 -0.5896 -1.4468
Li Ir
1 1
Direct
0.0000 0.0000 0.5000
0.6667 0.3333 0.0000
```

Summary:
The calculation puts the formation energy at -0.2659 eV/atom. Its space-group type is P-6m2 (187).

=====

Entry 10:
DFT (GGA-PBE) results for a relaxed LiMg2Ir crystal.

Geometry as POSCAR:
```
LiMg2Ir
1.0
3.9733 -1.7989 1.1332
1.4599 0.2607 4.2553
0.1477 -3.7040 2.5623
Li Mg Ir
1 2 1
Direct
0.0000 0.0000 0.0000
0.2500 0.2500 0.2500
0.7500 0.7500 0.7500
0.5000 0.5000 0.5000
```

Summary:
The calculation puts the formation energy at -0.3549 eV/atom. Its space-group type is Fm-3m (225).

=====

Entry 11:
DFT (GGA-PBE) results for a relaxed LiMgIr crystal.

Geometry as POSCAR:
```
LiMgIr
1.0
-0.3092 -4.0521 -4.5014
4.5265 -3.1493 2.5240
-4.0240 -3.2311 3.1851
Li Mg Ir
4 4 4
Direct
0.5000 0.5000 0.5000
0.5000 0.5000 0.0000
0.5000 0.0000 0.5000
0.0000 0.5000 0.5000
0.0000 0.0000 0.0000
0.0000 0.0000 0.5000
0.0000 0.5000 0.0000
0.5000 0.0000 0.0000
0.2555 0.2555 0.7445
0.2555 0.7445 0.2555
0.7445 0.2555 0.2555
0.7445 0.7445 0.7445
```

Summary:
Its magnetization is 0.00 μB/cell. The calculation puts the formation energy at 0.2296 eV/atom. Its space-group type is P-43m (215).

=====

Entry 12:
DFT (GGA-PBE) results for a relaxed Li7IrN4 crystal.

Geometry as POSCAR:
```
Li7IrN4
1.0
-7.1411 4.8972 4.5603
-3.7247 -8.4496 3.2412
5.5593 0.6294 8.0294
Li Ir N
56 8 32
Direct
0.3663 0.6337 0.1337
0.6337 0.1337 0.3663
0.1337 0.3663 0.6337
0.8663 0.8663 0.8663
0.6337 0.3663 0.8663
0.3663 0.8663 0.6337
0.8663 0.6337 0.3663
0.1337 0.1337 0.1337
0.3675 0.6312 0.3842
0.6325 0.1312 0.1158
0.1325 0.3688 0.8842
0.8675 0.8688 0.6158
0.3842 0.3675 0.6312
0.1158 0.6325 0.1312
0.8842 0.1325 0.3688
0.6158 0.8675 0.8688
0.6312 0.3842 0.3675
0.1312 0.1158 0.6325
0.3688 0.8842 0.1325
0.8688 0.6158 0.8675
0.6325 0.3688 0.6158
0.3675 0.8688 0.8842
0.8675 0.6312 0.1158
0.1325 0.1312 0.3842
0.6158 0.6325 0.3688
0.8842 0.3675 0.8688
0.1158 0.8675 0.6312
0.3842 0.1325 0.1312
0.3688 0.6158 0.6325
0.8688 0.8842 0.3675
0.6312 0.1158 0.8675
0.1312 0.3842 0.1325
0.3934 0.8663 0.3824
0.6066 0.3663 0.1176
0.1066 0.1337 0.8824
0.8934 0.6337 0.6176
0.3824 0.3934 0.8663
0.1176 0.6066 0.3663
0.8824 0.1066 0.1337
0.6176 0.8934 0.6337
0.8663 0.3824 0.3934
0.3663 0.1176 0.6066
0.1337 0.8824 0.1066
0.6337 0.6176 0.8934
0.6066 0.1337 0.6176
0.3934 0.6337 0.8824
0.8934 0.8663 0.1176
0.1066 0.3663 0.3824
0.6176 0.6066 0.1337
0.8824 0.3934 0.6337
0.1176 0.8934 0.8663
0.3824 0.1066 0.3663
0.1337 0.6176 0.6066
0.6337 0.8824 0.3934
0.8663 0.1176 0.8934
0.3663 0.3824 0.1066
0.1270 0.8730 0.3730
0.8730 0.3730 0.1270
0.3730 0.1270 0.8730
0.6270 0.6270 0.6270
0.8730 0.1270 0.6270
0.1270 0.6270 0.8730
0.6270 0.8730 0.1270
0.3730 0.3730 0.3730
0.2437 0.7563 0.2563
0.7563 0.2563 0.2437
0.2563 0.2437 0.7563
0.7437 0.7437 0.7437
0.7563 0.2437 0.7437
0.2437 0.7437 0.7563
0.7437 0.7563 0.2437
0.2563 0.2563 0.2563
0.0156 0.9931 0.2538
0.9844 0.4931 0.2462
0.4844 0.0069 0.7538
0.5156 0.5069 0.7462
0.2538 0.0156 0.9931
0.2462 0.9844 0.4931
0.7538 0.4844 0.0069
0.7462 0.5156 0.5069
0.9931 0.2538 0.0156
0.4931 0.2462 0.9844
0.0069 0.7538 0.4844
0.5069 0.7462 0.5156
0.9844 0.0069 0.7462
0.0156 0.5069 0.7538
0.5156 0.9931 0.2462
0.4844 0.4931 0.2538
0.7462 0.9844 0.0069
0.7538 0.0156 0.5069
0.2462 0.5156 0.9931
0.2538 0.4844 0.4931
0.0069 0.7462 0.9844
0.5069 0.7538 0.0156
0.9931 0.2462 0.5156
0.4931 0.2538 0.4844
```

Summary:
Its magnetization is 0.02 μB/cell. The calculation puts the formation energy at -0.3795 eV/atom. Its space-group type is Pa-3 (205).

=====

Entry 13:
DFT (GGA-PBE) results for a relaxed LiNpIr2 crystal.

Geometry as POSCAR:
```
LiNpIr2
1.0
0.0000 3.2096 3.2096
3.2096 0.0000 3.2096
3.2096 3.2096 0.0000
Li Np Ir
1 1 2
Direct
0.5000 0.5000 0.5000
0.0000 0.0000 0.0000
0.2500 0.2500 0.2500
0.7500 0.7500 0.7500
```

Summary:
Its magnetization is 0.08 μB/cell. The calculation puts the formation energy at -0.1437 eV/atom. Its space-group type is Fm-3m (225).

=====

Entry 14:
DFT (GGA-PBE) results for a relaxed Li8IrO6 crystal.

Geometry as POSCAR:
```
Li8IrO6
1.0
-5.2417 -0.3690 2.7944
-5.3028 -0.3717 -2.6764
-3.5432 -4.7817 0.0419
Li Ir O
8 1 6
Direct
0.6588 0.6588 0.6588
0.7657 0.4847 0.1007
0.1007 0.7657 0.4847
0.4847 0.1007 0.7657
0.2343 0.5153 0.8993
0.8993 0.2343 0.5153
0.3412 0.3412 0.3412
0.5153 0.8993 0.2343
0.0000 0.0000 0.0000
0.3845 0.7640 0.0904
0.2360 0.9096 0.6155
0.6155 0.2360 0.9096
0.0904 0.3845 0.7640
0.7640 0.0904 0.3845
0.9096 0.6155 0.2360
```

Summary:
The calculation puts the formation energy at -1.9249 eV/atom. Its space-group type is R-3 (148).

=====

Entry 15:
DFT (GGA-PBE) results for a relaxed LiPm2Ir crystal.

Geometry as POSCAR:
```
LiPm2Ir
1.0
2.3745 -4.4297 0.5371
-2.6629 -4.2038 0.8868
-0.4077 -3.5374 -3.5874
Li Pm Ir
1 2 1
Direct
0.0000 0.0000 0.0000
0.2500 0.2500 0.2500
0.7500 0.7500 0.7500
0.5000 0.5000 0.5000
```

Summary:
The calculation puts the formation energy at -0.4427 eV/atom. Its space-group type is Fm-3m (225).

=====

Entry 16:
DFT (GGA-PBE) results for a relaxed LiSn4Ir crystal.

Geometry as POSCAR:
```
LiSn4Ir
1.0
-3.3410 3.3410 5.7600
3.3410 -3.3410 5.7600
3.3410 3.3410 -5.7600
Li Sn Ir
2 8 2
Direct
0.5000 0.5000 0.0000
0.0000 0.0000 0.0000
0.7063 0.5234 0.5000
0.5234 0.0234 0.8171
0.2063 0.7063 0.1829
0.7937 0.2937 0.8171
0.4766 0.9766 0.1829
0.2937 0.4766 0.5000
0.9766 0.7937 0.5000
0.0234 0.2063 0.5000
0.7500 0.7500 0.0000
0.2500 0.2500 0.0000
```

Summary:
The calculation puts the formation energy at -0.3057 eV/atom. Its space-group type is I4/mcm (140).

=====

Entry 17:
DFT (GGA-PBE) results for a relaxed LiTaIr2 crystal.

Geometry as POSCAR:
```
LiTaIr2
1.0
0.0000 3.0834 3.0834
3.0834 0.0000 3.0834
3.0834 3.0834 0.0000
Li Ta Ir
1 1 2
Direct
0.5000 0.5000 0.5000
0.0000 0.0000 0.0000
0.2500 0.2500 0.2500
0.7500 0.7500 0.7500
```

Summary:
The calculation puts the formation energy at -0.6106 eV/atom. Its space-group type is Fm-3m (225).

=====

Entry 18:
DFT (GGA-PBE) results for a relaxed LiTi2Ir crystal.

Geometry as POSCAR:
```
LiTi2Ir
1.0
0.0000 3.1061 3.1061
3.1061 0.0000 3.1061
3.1061 3.1061 0.0000
Li Ti Ir
1 2 1
Direct
0.0000 0.0000 0.0000
0.2500 0.2500 0.2500
0.7500 0.7500 0.7500
0.5000 0.5000 0.5000
```

Summary:
The calculation puts the formation energy at -0.4965 eV/atom. Its space-group type is Fm-3m (225).